1.
CsEu2I5: relaxed, r2SCAN.

Structure (POSCAR):
```
CsEu2I5
1.0
10.250 0.000 0.000
0.000 9.134 0.000
-0.106 0.000 14.386
Cs Eu I
4 8 20
Direct
0.007 0.058 0.333
0.007 0.442 0.833
0.993 0.558 0.167
0.993 0.942 0.667
0.256 0.574 0.493
0.256 0.926 0.993
0.497 0.528 0.180
0.497 0.972 0.680
0.503 0.028 0.320
0.503 0.472 0.820
0.744 0.074 0.007
0.744 0.426 0.507
0.038 0.175 0.075
0.038 0.325 0.575
0.280 0.687 0.716
0.280 0.813 0.216
0.289 0.159 0.817
0.289 0.341 0.317
0.293 0.546 0.997
0.293 0.954 0.497
0.457 0.162 0.098
0.457 0.338 0.598
0.543 0.662 0.402
0.543 0.838 0.902
0.707 0.046 0.503
0.707 0.454 0.003
0.711 0.659 0.683
0.711 0.841 0.183
0.720 0.187 0.784
0.720 0.313 0.284
0.962 0.675 0.425
0.962 0.825 0.925
```

Values from the calculation:
space group	No. 14


2.
Dy2CuRu: relaxed, r2SCAN.

Structure (POSCAR):
```
Dy2CuRu
1.0
0.000 3.404 3.404
3.404 0.000 3.404
3.404 3.404 0.000
Dy Cu Ru
2 1 1
Direct
0.250 0.250 0.250
0.750 0.750 0.750
0.000 0.000 0.000
0.500 0.500 0.500
```

Values from the calculation:
space group	No. 225


3.
Ga2O3: relaxed, r2SCAN.

Structure (POSCAR):
```
Ga2O3
1.0
2.499 1.443 4.484
-2.499 1.443 4.484
0.000 -2.885 4.484
Ga O
4 6
Direct
0.144 0.144 0.144
0.356 0.356 0.356
0.644 0.644 0.644
0.856 0.856 0.856
0.053 0.750 0.447
0.250 0.553 0.947
0.447 0.053 0.750
0.553 0.947 0.250
0.750 0.447 0.053
0.947 0.250 0.553
```

Values from the calculation:
space group	No. 167


4.
Mg2NiB2Ir5: relaxed, r2SCAN.

Structure (POSCAR):
```
Mg2NiB2Ir5
1.0
9.343 0.000 0.000
0.000 9.343 0.000
0.000 0.000 2.906
Mg Ni B Ir
4 2 4 10
Direct
0.177 0.323 0.000
0.323 0.823 0.000
0.677 0.177 0.000
0.823 0.677 0.000
0.000 0.000 0.000
0.500 0.500 0.000
0.127 0.627 0.000
0.373 0.127 0.000
0.627 0.873 0.000
0.873 0.373 0.000
0.000 0.500 0.500
0.071 0.788 0.500
0.212 0.071 0.500
0.288 0.571 0.500
0.429 0.288 0.500
0.500 0.000 0.500
0.571 0.712 0.500
0.712 0.429 0.500
0.788 0.929 0.500
0.929 0.212 0.500
```

Values from the calculation:
space group	No. 127


5.
P4Se3I2: relaxed, r2SCAN.

Structure (POSCAR):
```
P4Se3I2
1.0
-6.140 6.140 7.902
6.140 -6.140 7.902
6.140 6.140 -7.902
P Se I
16 12 8
Direct
0.017 0.492 0.733
0.034 0.009 0.767
0.089 0.232 0.871
0.242 0.267 0.233
0.361 0.218 0.129
0.389 0.018 0.357
0.508 0.241 0.525
0.661 0.032 0.643
0.716 0.983 0.475
0.733 0.966 0.975
0.759 0.284 0.267
0.768 0.639 0.857
0.782 0.911 0.143
0.968 0.611 0.629
0.982 0.339 0.371
0.991 0.758 0.025
0.004 0.954 0.212
0.008 0.296 0.550
0.046 0.258 0.050
0.069 0.569 0.500
0.209 0.996 0.950
0.319 0.319 0.000
0.431 0.931 0.500
0.541 0.992 0.288
0.681 0.681 0.000
0.704 0.254 0.712
0.742 0.791 0.788
0.746 0.459 0.450
0.049 0.622 0.140
0.091 0.951 0.573
0.268 0.628 0.927
0.372 0.299 0.640
0.378 0.518 0.427
0.482 0.909 0.860
0.659 0.732 0.360
0.701 0.341 0.073
```

Values from the calculation:
space group	No. 122


6.
TbGaPt: relaxed, r2SCAN.

Structure (POSCAR):
```
TbGaPt
1.0
6.954 0.000 0.000
0.000 4.421 0.000
0.000 0.000 7.604
Tb Ga Pt
4 4 4
Direct
0.014 0.250 0.200
0.486 0.750 0.700
0.514 0.250 0.300
0.986 0.750 0.800
0.174 0.250 0.578
0.326 0.750 0.078
0.674 0.250 0.922
0.826 0.750 0.422
0.220 0.750 0.405
0.280 0.250 0.905
0.720 0.750 0.095
0.780 0.250 0.595
```

Values from the calculation:
space group	No. 62


7.
Ti4Bi2O11: relaxed, r2SCAN.

Structure (POSCAR):
```
Ti4Bi2O11
1.0
7.344 -1.900 0.000
7.344 1.900 0.000
-0.830 0.000 14.960
Ti Bi O
8 4 22
Direct
0.097 0.610 0.484
0.197 0.696 0.859
0.304 0.803 0.641
0.390 0.903 0.016
0.610 0.097 0.984
0.696 0.197 0.359
0.803 0.304 0.141
0.903 0.390 0.516
0.132 0.510 0.180
0.490 0.868 0.320
0.510 0.132 0.680
0.868 0.490 0.820
0.033 0.507 0.584
0.059 0.574 0.776
0.114 0.608 0.965
0.169 0.672 0.371
0.197 0.696 0.574
0.270 0.730 0.750
0.304 0.803 0.926
0.328 0.831 0.129
0.392 0.886 0.535
0.426 0.941 0.724
0.493 0.967 0.916
0.507 0.033 0.084
0.574 0.059 0.276
0.608 0.114 0.465
0.672 0.169 0.871
0.696 0.197 0.074
0.730 0.270 0.250
0.803 0.304 0.426
0.831 0.328 0.629
0.886 0.392 0.035
0.941 0.426 0.224
0.967 0.493 0.416
```

Values from the calculation:
space group	No. 15


8.
ScVRu2: relaxed, r2SCAN.

Structure (POSCAR):
```
ScVRu2
1.0
0.000 3.085 3.085
3.085 0.000 3.085
3.085 3.085 0.000
Sc V Ru
1 1 2
Direct
0.000 0.000 0.000
0.500 0.500 0.500
0.250 0.250 0.250
0.750 0.750 0.750
```

Values from the calculation:
space group	No. 225


9.
Tb2CoGe2: relaxed, r2SCAN.

Structure (POSCAR):
```
Tb2CoGe2
1.0
5.238 -2.087 0.000
5.238 2.087 0.000
-4.701 0.000 9.042
Tb Co Ge
4 2 4
Direct
0.007 0.007 0.335
0.190 0.190 0.117
0.810 0.810 0.883
0.993 0.993 0.665
0.274 0.274 0.658
0.726 0.726 0.342
0.338 0.338 0.439
0.488 0.488 0.122
0.512 0.512 0.878
0.662 0.662 0.561
```

Values from the calculation:
space group	No. 12


10.
Pt3Rh: relaxed, r2SCAN.

Structure (POSCAR):
```
Pt3Rh
1.0
3.910 0.000 0.000
0.000 3.910 0.000
0.000 0.000 3.910
Pt Rh
3 1
Direct
0.000 0.000 0.500
0.000 0.500 0.000
0.500 0.000 0.000
0.500 0.500 0.500
```

Values from the calculation:
space group	No. 221


11.
Ba2Si3Au: relaxed, r2SCAN.

Structure (POSCAR):
```
Ba2Si3Au
1.0
4.266 0.000 0.000
-2.133 3.695 0.000
0.000 0.000 10.149
Ba Si Au
2 3 1
Direct
0.000 0.000 0.249
0.000 0.000 0.751
0.333 0.667 0.500
0.667 0.333 0.000
0.667 0.333 0.500
0.333 0.667 0.000
```

Values from the calculation:
space group	No. 187


12.
EuGa: relaxed, r2SCAN.

Structure (POSCAR):
```
EuGa
1.0
5.791 0.000 0.000
0.685 6.198 0.000
1.236 2.376 5.899
Eu Ga
4 4
Direct
0.175 0.301 0.351
0.262 0.850 0.922
0.738 0.150 0.078
0.825 0.699 0.649
0.291 0.390 0.807
0.360 0.755 0.429
0.640 0.245 0.571
0.709 0.610 0.193
```

Values from the calculation:
space group	No. 2


13.
VZn3: relaxed, r2SCAN.

Structure (POSCAR):
```
VZn3
1.0
3.785 0.000 0.000
0.000 3.785 0.000
0.000 0.000 3.785
V Zn
1 3
Direct
0.000 0.000 0.000
0.000 0.500 0.500
0.500 0.000 0.500
0.500 0.500 0.000
```

Values from the calculation:
space group	No. 221


14.
YbLuSO2: relaxed, r2SCAN.

Structure (POSCAR):
```
YbLuSO2
1.0
3.685 0.000 0.000
-1.842 3.191 0.000
0.000 0.000 6.455
Yb Lu S O
1 1 1 2
Direct
0.000 0.000 0.000
0.667 0.333 0.431
0.333 0.667 0.715
0.000 0.000 0.346
0.667 0.333 0.088
```

Values from the calculation:
space group	No. 156


15.
PrB2C2: relaxed, r2SCAN.

Structure (POSCAR):
```
PrB2C2
1.0
5.388 0.000 0.000
0.000 5.388 0.000
0.000 0.000 3.893
Pr B C
2 4 4
Direct
0.000 0.000 0.000
0.500 0.500 0.000
0.138 0.362 0.500
0.362 0.862 0.500
0.638 0.138 0.500
0.862 0.638 0.500
0.161 0.661 0.500
0.339 0.161 0.500
0.661 0.839 0.500
0.839 0.339 0.500
```

Values from the calculation:
space group	No. 127


16.
K6Co2O7: relaxed, r2SCAN.

Structure (POSCAR):
```
K6Co2O7
1.0
6.550 0.000 0.000
0.000 9.085 0.000
-6.172 0.000 9.147
K Co O
12 4 14
Direct
0.067 0.150 0.431
0.067 0.350 0.931
0.195 0.526 0.441
0.195 0.974 0.941
0.423 0.201 0.288
0.423 0.299 0.788
0.577 0.701 0.212
0.577 0.799 0.712
0.805 0.026 0.059
0.805 0.474 0.559
0.933 0.650 0.069
0.933 0.850 0.569
0.309 0.644 0.863
0.309 0.856 0.363
0.691 0.144 0.637
0.691 0.356 0.137
0.032 0.668 0.856
0.032 0.832 0.356
0.245 0.596 0.690
0.245 0.904 0.190
0.498 0.197 0.071
0.498 0.303 0.571
0.500 0.000 0.500
0.500 0.500 0.000
0.502 0.697 0.429
0.502 0.803 0.929
0.755 0.096 0.810
0.755 0.404 0.310
0.968 0.168 0.644
0.968 0.332 0.144
```

Values from the calculation:
space group	No. 14


17.
CuBiPtS3: relaxed, r2SCAN.

Structure (POSCAR):
```
CuBiPtS3
1.0
4.950 0.000 0.000
0.000 7.739 0.000
0.000 0.000 12.625
Cu Bi Pt S
4 4 4 12
Direct
0.027 0.115 0.441
0.473 0.885 0.941
0.527 0.385 0.559
0.973 0.615 0.059
0.094 0.116 0.132
0.406 0.884 0.632
0.594 0.384 0.868
0.906 0.616 0.368
0.005 0.636 0.749
0.495 0.364 0.249
0.505 0.864 0.251
0.995 0.136 0.751
0.234 0.639 0.912
0.239 0.131 0.911
0.239 0.384 0.703
0.261 0.616 0.203
0.261 0.869 0.411
0.266 0.361 0.412
0.734 0.861 0.088
0.739 0.116 0.297
0.739 0.369 0.089
0.761 0.631 0.589
0.761 0.884 0.797
0.766 0.139 0.588
```

Values from the calculation:
space group	No. 19


18.
Cs3As: relaxed, r2SCAN.

Structure (POSCAR):
```
Cs3As
1.0
10.858 0.000 0.000
-5.429 9.404 0.000
0.000 0.000 11.292
Cs As
18 6
Direct
0.000 0.000 0.249
0.000 0.000 0.749
0.000 0.290 0.000
0.000 0.370 0.330
0.000 0.630 0.830
0.000 0.710 0.500
0.290 0.000 0.000
0.290 0.290 0.500
0.333 0.667 0.111
0.333 0.667 0.611
0.370 0.000 0.330
0.370 0.370 0.830
0.630 0.000 0.830
0.630 0.630 0.330
0.667 0.333 0.111
0.667 0.333 0.611
0.710 0.000 0.500
0.710 0.710 0.000
0.000 0.327 0.666
0.000 0.673 0.166
0.327 0.000 0.666
0.327 0.327 0.166
0.673 0.000 0.166
0.673 0.673 0.666
```

Values from the calculation:
space group	No. 185


| no. | electronic total energy (eV for the cell shown) |
| --- | --- |
| 1 | -959.45 |
| 2 | -101.70 |
| 3 | -102.38 |
| 4 | -602.42 |
| 5 | -515.68 |
| 6 | -391.30 |
| 7 | -562.52 |
| 8 | -78.30 |
| 9 | -214.56 |
| 10 | -178.67 |
| 11 | -132.77 |
| 12 | -204.19 |
| 13 | -41.12 |
| 14 | -112.62 |
| 15 | -132.89 |
| 16 | -253.31 |
| 17 | -590.73 |
| 18 | -549.72 |